# PmSmGa2

PmSmGa2 after structural relaxation (PBE, Materials Project).

Geometry as POSCAR:
```
PmSmGa2
1.0
0.0000 3.6646 3.6646
3.6646 0.0000 3.6646
3.6646 3.6646 0.0000
Ga Pm Sm
2 1 1
direct
0.2500 0.2500 0.2500
0.7500 0.7500 0.7500
0.5000 0.5000 0.5000
0.0000 0.0000 0.0000
```

Summary:
As for the mass density: 7.34 g cm⁻³. For the electronic total energy, the calculation gives -4.45 eV per atom. The formation energy comes out at -567 meV per atom.